Entry 1:
Entry from the Materials Project database: K3HPtS2Cl2O6 after structural relaxation (PBE).

a b c (Å): 15.3042 10.6552 7.1498
angles (deg): 90.00 90.00 90.00
Closest atoms and distances in Å follow each position.
Space group Cmc2_1 (No. 36)
Inequivalent atoms, fractional coordinates:
K 0.0000 0.1235 0.0000 [4 per cell]  2 O 2.76
K 0.2199 0.3600 0.8184 [8 per cell]  6 O 2.80-3.04
H 0.0000 0.4848 0.2509 [4 per cell]  2 O 1.20
Pt 0.0000 0.2451 0.4669 [4 per cell]  2 S 2.27, 2 Cl 2.41
S 0.1092 0.3477 0.3155 [8 per cell]  3 O 1.48-1.54
Cl 0.1094 0.1196 0.6215 [8 per cell]  1 Pt 2.41
O 0.0785 0.4793 0.2535 [8 per cell]  1 H 1.20
O 0.1310 0.2727 0.1450 [8 per cell]  1 S 1.50
O 0.1887 0.3686 0.4289 [8 per cell]  1 S 1.48

Results
Piezoelectric modulus e_max (C/m²): 0.2
Electronic total energy (eV per atom): -5.108



Entry 2:
Entry from the Materials Project database: SiO2 after structural relaxation (PBE).

a b c (Å): 7.0471 8.2753 6.8239
angles (deg): 90.00 116.53 90.00
Closest atoms and distances in Å follow each position.
Space group C2 (No. 5)
Inequivalent atoms, fractional coordinates:
Si 0.1077 0.0000 0.3709 [4 per cell]  4 O 1.62-1.65
Si 0.2047 0.3162 0.2204 [4 per cell]  4 O 1.62-1.65
O 0.0000 0.1058 0.5000 [2 per cell]  2 Si 1.65
O 0.0000 0.3745 0.0000 [2 per cell]  2 Si 1.62
O 0.0771 0.8735 0.7922 [4 per cell]  2 Si 1.65
O 0.1962 0.1187 0.2409 [4 per cell]  2 Si 1.62-1.64
O 0.1999 0.3973 0.4377 [4 per cell]  2 Si 1.64

Results
Piezoelectric modulus e_max (C/m²): 0.1
Electronic total energy (eV per atom): -7.831



Entry 3:
Entry from the Materials Project database: TcO2F3 after structural relaxation (PBE).

a b c (Å): 8.0718 8.1123 11.9684
angles (deg): 88.69 89.73 85.10
Closest atoms and distances in Å follow each position.
Space group P-1 (No. 2)
Inequivalent atoms, fractional coordinates:
Tc 0.0314 0.2264 0.4147 [2 per cell]  2 O 1.69, 2 F 1.86-1.87
Tc 0.0537 0.2525 0.8789 [2 per cell]  2 O 1.69, 2 F 1.86-1.87
Tc 0.4137 0.2513 0.6299 [2 per cell]  2 O 1.69, 2 F 1.87
Tc 0.4500 0.2848 0.0944 [2 per cell]  2 O 1.69, 2 F 1.87
O 0.0527 0.8152 0.2295 [2 per cell]  1 Tc 1.69
O 0.0760 0.8352 0.6955 [2 per cell]  1 Tc 1.69
O 0.0821 0.4158 0.3728 [2 per cell]  1 Tc 1.69
O 0.0943 0.7163 0.0219 [2 per cell]  1 Tc 1.69
O 0.3668 0.1192 0.1528 [2 per cell]  1 Tc 1.69
O 0.3668 0.7135 0.8386 [2 per cell]  1 Tc 1.69
O 0.4085 0.7612 0.2956 [2 per cell]  1 Tc 1.69
O 0.4802 0.2800 0.4973 [2 per cell]  1 Tc 1.69
F 0.0000 0.0000 0.5000 [1 per cell]  2 Tc 2.11
F 0.0631 0.4718 0.8317 [2 per cell]  1 Tc 1.86
F 0.1466 0.7081 0.4923 [2 per cell]  1 Tc 1.86
F 0.1476 0.0463 0.9312 [2 per cell]  1 Tc 1.87
F 0.1638 0.2572 0.5669 [2 per cell]  2 Tc 2.15
F 0.2337 0.3295 0.9917 [2 per cell]  2 Tc 2.13-2.14
F 0.2346 0.1089 0.3806 [2 per cell]  1 Tc 1.87
F 0.2750 0.2251 0.7785 [2 per cell]  2 Tc 2.11-2.15
F 0.3293 0.4474 0.1775 [2 per cell]  1 Tc 1.87
F 0.3437 0.4731 0.6558 [2 per cell]  1 Tc 1.87
F 0.3887 0.0247 0.6255 [2 per cell]  1 Tc 1.87
F 0.4689 0.8144 0.0363 [2 per cell]  1 Tc 1.87
F 0.5000 0.5000 0.0000 [1 per cell]  2 Tc 2.12

Results
Electronic total energy (eV per atom): -6.035



Entry 4:
Entry from the Materials Project database: SbPb3 after structural relaxation (PBE).

a b c (Å): 7.3564 7.3564 5.3184
angles (deg): 90.00 90.00 120.00
Closest atoms and distances in Å follow each position.
Space group P6_3/mmc (No. 194)
Inequivalent atoms, fractional coordinates:
Sb 0.3333 0.6667 0.2500 [2 per cell]  12 Pb 3.38-3.68
Pb 0.1700 0.3400 0.7500 [6 per cell]  4 Sb 3.38-3.68, 8 Pb 3.43-3.75

Results
Electronic total energy (eV per atom): -3.713



Entry 5:
Entry from the Materials Project database: La6ZnCu after structural relaxation (PBE).

a b c (Å): 4.9469 4.9469 9.8900
angles (deg): 90.00 90.00 90.00
Closest atoms and distances in Å follow each position.
Space group P4/mmm (No. 123)
Inequivalent atoms, fractional coordinates:
La 0.0000 0.0000 0.0000 [1 per cell]  8 La 3.48, 4 Cu 3.50
La 0.0000 0.0000 0.5000 [1 per cell]  4 Zn 3.50, 8 La 3.51
La 0.0000 0.5000 0.2477 [4 per cell]  8 La 3.48-3.51, 2 Cu 3.48, 2 Zn 3.51
Zn 0.5000 0.5000 0.5000 [1 per cell]  12 La 3.50-3.51
Cu 0.5000 0.5000 0.0000 [1 per cell]  12 La 3.48-3.50

Results
Electronic total energy (eV per atom): -4.343



Entry 6:
Entry from the Materials Project database: Na21Mg10Ta2P15S3O72 after structural relaxation (PBE).

a b c (Å): 8.9802 8.9803 22.1383
angles (deg): 89.92 89.79 60.10
Closest atoms and distances in Å follow each position.
Space group P1 (No. 1)
Inequivalent atoms, fractional coordinates:
Na 0.0000 0.0000 0.0000 [1 per cell]  6 O 2.45-2.68
Na 0.0003 0.2603 0.5006 [1 per cell]  5 O 2.43-2.58
Na 0.0002 0.6312 0.7458 [1 per cell]  6 O 2.54-2.63
Na 0.0019 0.6279 0.2544 [1 per cell]  3 O 2.42-2.47
Na 0.3140 0.2867 0.6662 [1 per cell]  5 O 2.39-2.65
Na 0.3143 0.6623 0.1714 [1 per cell]  5 O 2.39-2.62
Na 0.3272 0.9717 0.0852 [1 per cell]  6 O 2.45-2.63
Na 0.3357 0.9537 0.5850 [1 per cell]  6 O 2.47-2.65
Na 0.3365 0.5882 0.8267 [1 per cell]  5 O 2.41-2.54
Na 0.3422 0.3281 0.3331 [1 per cell]  6 O 2.46-2.71
Na 0.3730 0.6280 0.4976 [1 per cell]  6 O 2.45-2.66
Na 0.3738 0.2593 0.9966 [1 per cell]  6 O 2.46-2.63
Na 0.6318 0.0011 0.4971 [1 per cell]  6 O 2.43-2.68
Na 0.6330 0.6271 0.9996 [1 per cell]  6 O 2.43-2.68
Na 0.6586 0.9410 0.1713 [1 per cell]  5 O 2.41-2.58
Na 0.6630 0.2950 0.9149 [1 per cell]  6 O 2.50-2.61
Na 0.6626 0.2969 0.4155 [1 per cell]  6 O 2.52-2.66
Na 0.6920 0.6056 0.3319 [1 per cell]  6 O 2.44-2.70
Na 0.6927 0.9711 0.8275 [1 per cell]  5 O 2.42-2.56
Na 0.9694 0.9560 0.3311 [1 per cell]  6 O 2.46-2.71
Na 0.9769 0.3269 0.8254 [1 per cell]  6 O 2.45-2.74
Mg 0.0016 0.6345 0.3982 [1 per cell]  6 O 1.99-2.23
Mg 0.0072 0.6237 0.8986 [1 per cell]  6 O 1.99-2.21
Mg 0.3332 0.9649 0.7251 [1 per cell]  6 O 2.04-2.16
Mg 0.3354 0.9618 0.2309 [1 per cell]  6 O 2.03-2.16
Mg 0.3371 0.9675 0.9329 [1 per cell]  6 O 2.00-2.16
Mg 0.3427 0.9569 0.4322 [1 per cell]  6 O 2.02-2.17
Mg 0.6645 0.2958 0.7561 [1 per cell]  4 O 2.00-2.20
Mg 0.6645 0.2967 0.2631 [1 per cell]  6 O 2.06-2.22
Mg 0.6693 0.2974 0.5664 [1 per cell]  6 O 2.01-2.17
Mg 0.6702 0.2947 0.0659 [1 per cell]  6 O 2.01-2.16
Ta 0.0024 0.6259 0.1012 [1 per cell]  6 O 1.97-2.01
Ta 0.9985 0.6333 0.6014 [1 per cell]  6 O 1.97-2.02
P 0.0000 0.9254 0.4959 [1 per cell]  4 O 1.53-1.60
P 0.2952 0.3365 0.4959 [1 per cell]  4 O 1.53-1.60
P 0.2971 0.6286 0.9957 [1 per cell]  4 O 1.52-1.60
P 0.3363 0.2576 0.8313 [1 per cell]  4 O 1.53-1.57
P 0.3357 0.6670 0.3307 [1 per cell]  4 O 1.54-1.57
P 0.3753 0.5945 0.6636 [1 per cell]  4 O 1.51-1.64
P 0.3758 0.2925 0.1631 [1 per cell]  4 O 1.53-1.62
P 0.6304 0.9634 0.3304 [1 per cell]  4 O 1.54-1.57
P 0.6678 0.0024 0.6643 [1 per cell]  4 O 1.53-1.60
P 0.6678 0.5875 0.1636 [1 per cell]  4 O 1.52-1.62
P 0.7105 0.9222 0.9954 [1 per cell]  4 O 1.52-1.60
P 0.7108 0.6265 0.4955 [1 per cell]  4 O 1.53-1.60
P 0.9626 0.2937 0.6640 [1 per cell]  4 O 1.52-1.64
P 0.9644 0.0063 0.1628 [1 per cell]  4 O 1.52-1.66
P 0.9988 0.3364 0.9953 [1 per cell]  4 O 1.52-1.60
S 0.0428 0.2546 0.3313 [1 per cell]  4 O 1.47-1.50
S 0.0433 0.9626 0.8318 [1 per cell]  4 O 1.46-1.50
S 0.6273 0.6706 0.8315 [1 per cell]  4 O 1.46-1.50
O 0.0200 0.8084 0.8367 [1 per cell]  1 S 1.50
O 0.0231 0.4299 0.3359 [1 per cell]  1 S 1.50
O 0.0247 0.4359 0.0507 [1 per cell]  1 P 1.60
O 0.0255 0.8002 0.5512 [1 per cell]  1 P 1.60
O 0.1188 0.1516 0.3866 [1 per cell]  1 S 1.48
O 0.1204 0.9871 0.8881 [1 per cell]  1 S 1.50
O 0.1485 0.1451 0.6692 [1 per cell]  1 P 1.54
O 0.1496 0.9685 0.1686 [1 per cell]  1 P 1.53
O 0.1523 0.1727 0.2780 [1 per cell]  1 S 1.47
O 0.1538 0.9347 0.7797 [1 per cell]  1 S 1.46
O 0.1644 0.1593 0.9944 [1 per cell]  1 P 1.54
O 0.1657 0.9371 0.4943 [1 per cell]  1 P 1.54
O 0.1723 0.4412 0.8359 [1 per cell]  1 P 1.57
O 0.1755 0.4323 0.5529 [1 per cell]  1 P 1.60
O 0.1747 0.6435 0.3353 [1 per cell]  1 P 1.57
O 0.1761 0.6539 0.0526 [1 per cell]  1 P 1.60
O 0.1887 0.6060 0.6554 [1 per cell]  1 P 1.64
O 0.1899 0.4634 0.1540 [1 per cell]  1 P 1.62
O 0.2116 0.4481 0.4403 [1 per cell]  1 P 1.53
O 0.2137 0.6003 0.9404 [1 per cell]  1 P 1.52
O 0.3049 0.7789 0.2738 [1 per cell]  1 P 1.55
O 0.3058 0.1595 0.4945 [1 per cell]  1 P 1.54
O 0.3078 0.1716 0.7761 [1 per cell]  1 P 1.53
O 0.3088 0.7946 0.9937 [1 per cell]  1 P 1.55
O 0.3464 0.7746 0.6714 [1 per cell]  1 P 1.51
O 0.3528 0.1360 0.1702 [1 per cell]  1 P 1.53
O 0.3622 0.7515 0.3872 [1 per cell]  1 P 1.54
O 0.3650 0.1477 0.8890 [1 per cell]  1 P 1.56
O 0.4435 0.4805 0.7208 [1 per cell]  1 P 1.55
O 0.4457 0.3378 0.2188 [1 per cell]  1 P 1.53
O 0.4743 0.3176 0.5036 [1 per cell]  1 P 1.54
O 0.4755 0.4686 0.0037 [1 per cell]  1 P 1.54
O 0.4783 0.5083 0.6068 [1 per cell]  1 P 1.52
O 0.4821 0.2680 0.1059 [1 per cell]  1 P 1.53
O 0.4994 0.2784 0.8264 [1 per cell]  1 P 1.57
O 0.5005 0.4860 0.3254 [1 per cell]  1 P 1.56
O 0.5094 0.9810 0.6706 [1 per cell]  1 P 1.53
O 0.5135 0.7724 0.1683 [1 per cell]  1 P 1.55
O 0.5171 0.9948 0.3870 [1 per cell]  1 P 1.54
O 0.5237 0.7452 0.8879 [1 per cell]  1 S 1.50
O 0.5343 0.7926 0.4951 [1 per cell]  1 P 1.54
O 0.5335 0.9325 0.9947 [1 per cell]  1 P 1.55
O 0.5431 0.7792 0.7795 [1 per cell]  1 S 1.46
O 0.5475 0.9363 0.2735 [1 per cell]  1 P 1.55
O 0.6412 0.1128 0.6085 [1 per cell]  1 P 1.53
O 0.6413 0.5080 0.1066 [1 per cell]  1 P 1.53
O 0.6500 0.4938 0.8264 [1 per cell]  1 S 1.50
O 0.6539 0.1242 0.3251 [1 per cell]  1 P 1.56
O 0.6909 0.1014 0.0032 [1 per cell]  1 P 1.54
O 0.6912 0.4671 0.5040 [1 per cell]  1 P 1.54
O 0.7021 0.4806 0.2204 [1 per cell]  1 P 1.52
O 0.7049 0.0719 0.7224 [1 per cell]  1 P 1.54
O 0.8020 0.6538 0.8366 [1 per cell]  1 S 1.50
O 0.8067 0.8020 0.0522 [1 per cell]  1 P 1.60
O 0.8107 0.6508 0.5508 [1 per cell]  1 P 1.60
O 0.8114 0.7981 0.3353 [1 per cell]  1 P 1.57
O 0.8215 0.5971 0.4394 [1 per cell]  1 P 1.53
O 0.8227 0.8381 0.9400 [1 per cell]  1 P 1.52
O 0.8335 0.6126 0.1547 [1 per cell]  1 P 1.62
O 0.8341 0.8164 0.6552 [1 per cell]  1 P 1.60
O 0.8392 0.3176 0.0041 [1 per cell]  1 P 1.54
O 0.8400 0.1034 0.5046 [1 per cell]  1 P 1.54
O 0.8502 0.0763 0.2188 [1 per cell]  1 P 1.53
O 0.8568 0.3281 0.7224 [1 per cell]  1 P 1.54
O 0.8685 0.2734 0.3251 [1 per cell]  1 S 1.50
O 0.8692 0.1198 0.8268 [1 per cell]  1 S 1.50
O 0.8791 0.2742 0.6075 [1 per cell]  1 P 1.52
O 0.8825 0.1049 0.1049 [1 per cell]  1 P 1.52
O 0.9688 0.4475 0.9396 [1 per cell]  1 P 1.52
O 0.9700 0.8450 0.4398 [1 per cell]  1 P 1.53
O 0.9817 0.8146 0.1547 [1 per cell]  1 P 1.66
O 0.9842 0.4632 0.6561 [1 per cell]  1 P 1.64

Results
Electronic total energy (eV per atom): -6.539